[1]
Entry from the Materials Project: an optimized crystal structure of Ba2CaCr2F14 (PBE+U).

The structure in CIF format:
```
data_Ba2CaCr2F14
_cell_length_a 5.606
_cell_length_b 5.533
_cell_length_c 19.986
_cell_angle_alpha 76.14
_cell_angle_beta 90.00
_cell_angle_gamma 90.00
_symmetry_space_group_name_H-M 'P 1'
_symmetry_Int_Tables_number 1
_symmetry_space_group_name_Hall 'P 1'
loop_
_atom_site_label
_atom_site_type_symbol
_atom_site_fract_x
_atom_site_fract_y
_atom_site_fract_z
Ba1 Ba 0.244 0.317 0.425
Ba2 Ba 0.756 0.683 0.575
Ba3 Ba 0.756 0.317 0.925
Ba4 Ba 0.244 0.683 0.075
Ca1 Ca 0.343 0.500 0.750
Ca2 Ca 0.657 0.500 0.250
Cr1 Cr 0.221 0.182 0.620
Cr2 Cr 0.779 0.182 0.120
Cr3 Cr 0.221 0.818 0.880
Cr4 Cr 0.779 0.818 0.380
F1 F 0.047 0.836 0.436
F2 F 0.047 0.164 0.064
F3 F 0.953 0.164 0.564
F4 F 0.953 0.836 0.936
F5 F 0.047 0.366 0.672
F6 F 0.047 0.634 0.828
F7 F 0.953 0.634 0.328
F8 F 0.953 0.366 0.172
F9 F 0.279 0.490 0.555
F10 F 0.279 0.510 0.945
F11 F 0.721 0.510 0.445
F12 F 0.721 0.490 0.055
F13 F 0.601 0.034 0.060
F14 F 0.601 0.966 0.440
F15 F 0.399 0.966 0.940
F16 F 0.399 0.034 0.560
F17 F 0.858 0.885 0.176
F18 F 0.858 0.115 0.324
F19 F 0.142 0.115 0.824
F20 F 0.142 0.885 0.676
F21 F 0.481 0.752 0.832
F22 F 0.481 0.248 0.668
F23 F 0.519 0.248 0.168
F24 F 0.519 0.752 0.332
F25 F 0.390 0.717 0.185
F26 F 0.390 0.283 0.315
F27 F 0.610 0.283 0.815
F28 F 0.610 0.717 0.685
```

Output
Density: 3.778 g/cm3
Uncorrected energy: -211.55 eV for the cell shown

[2]
Entry from the Materials Project: an optimized crystal structure of BaCaCrF7 (PBE+U).

The structure in CIF format:
```
data_BaCaCrF7
_cell_length_a 5.548
_cell_length_b 5.506
_cell_length_c 19.981
_cell_angle_alpha 75.99
_cell_angle_beta 90.00
_cell_angle_gamma 90.00
_symmetry_space_group_name_H-M 'P 1'
_symmetry_Int_Tables_number 1
_symmetry_space_group_name_Hall 'P 1'
loop_
_atom_site_label
_atom_site_type_symbol
_atom_site_fract_x
_atom_site_fract_y
_atom_site_fract_z
Ba1 Ba 0.247 0.315 0.431
Ba2 Ba 0.753 0.685 0.569
Ba3 Ba 0.753 0.315 0.931
Ba4 Ba 0.247 0.685 0.069
Ca1 Ca 0.328 0.500 0.750
Ca2 Ca 0.672 0.500 0.250
Ca3 Ca 0.792 0.000 0.750
Ca4 Ca 0.208 0.000 0.250
Cr1 Cr 0.224 0.182 0.620
Cr2 Cr 0.776 0.182 0.120
Cr3 Cr 0.224 0.818 0.880
Cr4 Cr 0.776 0.818 0.380
F1 F 0.054 0.848 0.437
F2 F 0.054 0.152 0.063
F3 F 0.946 0.152 0.563
F4 F 0.946 0.848 0.937
F5 F 0.024 0.352 0.677
F6 F 0.024 0.648 0.823
F7 F 0.976 0.648 0.323
F8 F 0.976 0.352 0.177
F9 F 0.286 0.502 0.555
F10 F 0.286 0.498 0.945
F11 F 0.714 0.498 0.445
F12 F 0.714 0.502 0.055
F13 F 0.591 0.029 0.061
F14 F 0.591 0.971 0.439
F15 F 0.409 0.971 0.939
F16 F 0.409 0.029 0.561
F17 F 0.869 0.873 0.186
F18 F 0.869 0.127 0.314
F19 F 0.131 0.127 0.814
F20 F 0.131 0.873 0.686
F21 F 0.496 0.749 0.825
F22 F 0.496 0.251 0.675
F23 F 0.504 0.251 0.175
F24 F 0.504 0.749 0.325
F25 F 0.370 0.736 0.191
F26 F 0.370 0.264 0.309
F27 F 0.630 0.264 0.809
F28 F 0.630 0.736 0.691
```

Output
Density: 4.064 g/cm3
Uncorrected energy: -237.80 eV for the cell shown
Energy relative to the lowest polymorph listed for this composition: 0.000 eV per atom

[3]
Entry from the Materials Project: an optimized crystal structure of BaCaCrF7 (PBE+U).

The structure in CIF format:
```
data_BaCaCrF7
_cell_length_a 10.481
_cell_length_b 5.782
_cell_length_c 10.069
_cell_angle_alpha 87.65
_cell_angle_beta 90.00
_cell_angle_gamma 90.00
_symmetry_space_group_name_H-M 'P 1'
_symmetry_Int_Tables_number 1
_symmetry_space_group_name_Hall 'P 1'
loop_
_atom_site_label
_atom_site_type_symbol
_atom_site_fract_x
_atom_site_fract_y
_atom_site_fract_z
Ba1 Ba 0.334 0.740 0.504
Ba2 Ba 0.834 0.260 0.996
Ba3 Ba 0.666 0.260 0.496
Ba4 Ba 0.166 0.740 0.004
Ca1 Ca 0.404 0.300 0.818
Ca2 Ca 0.904 0.700 0.682
Ca3 Ca 0.096 0.300 0.318
Ca4 Ca 0.596 0.700 0.182
Cr1 Cr 0.620 0.811 0.811
Cr2 Cr 0.380 0.189 0.189
Cr3 Cr 0.880 0.811 0.311
Cr4 Cr 0.120 0.189 0.689
F1 F 0.427 0.901 0.112
F2 F 0.038 0.660 0.369
F3 F 0.702 0.531 0.743
F4 F 0.298 0.469 0.257
F5 F 0.459 0.094 0.358
F6 F 0.800 0.725 0.482
F7 F 0.772 0.986 0.751
F8 F 0.959 0.906 0.142
F9 F 0.462 0.660 0.869
F10 F 0.202 0.469 0.757
F11 F 0.073 0.901 0.612
F12 F 0.573 0.099 0.888
F13 F 0.272 0.014 0.749
F14 F 0.958 0.605 0.885
F15 F 0.541 0.906 0.642
F16 F 0.041 0.094 0.858
F17 F 0.228 0.014 0.249
F18 F 0.927 0.099 0.388
F19 F 0.458 0.395 0.615
F20 F 0.962 0.340 0.631
F21 F 0.042 0.395 0.115
F22 F 0.728 0.986 0.251
F23 F 0.542 0.605 0.385
F24 F 0.300 0.275 0.018
F25 F 0.200 0.275 0.518
F26 F 0.700 0.725 0.982
F27 F 0.538 0.340 0.131
F28 F 0.798 0.531 0.243
```

Output
Density: 3.948 g/cm3
Uncorrected energy: -236.35 eV for the cell shown
Energy relative to the lowest polymorph listed for this composition: 0.036 eV per atom

[4]
Entry from the Materials Project: an optimized crystal structure of BaCaCr4O12 (PBE+U).

The structure in CIF format:
```
data_BaCaCr4O12
_cell_length_a 5.375
_cell_length_b 5.375
_cell_length_c 7.629
_cell_angle_alpha 90.00
_cell_angle_beta 90.00
_cell_angle_gamma 90.00
_symmetry_space_group_name_H-M 'P 1'
_symmetry_Int_Tables_number 1
_symmetry_space_group_name_Hall 'P 1'
loop_
_atom_site_label
_atom_site_type_symbol
_atom_site_fract_x
_atom_site_fract_y
_atom_site_fract_z
Ba1 Ba 0.500 0.500 0.000
Ca1 Ca 0.000 0.000 0.500
Cr1 Cr 0.000 0.500 0.747
Cr2 Cr 0.000 0.500 0.253
Cr3 Cr 0.500 0.000 0.747
Cr4 Cr 0.500 0.000 0.253
O1 O 0.245 0.245 0.740
O2 O 0.245 0.245 0.260
O3 O 0.755 0.755 0.260
O4 O 0.755 0.755 0.740
O5 O 0.755 0.245 0.740
O6 O 0.755 0.245 0.260
O7 O 0.245 0.755 0.260
O8 O 0.245 0.755 0.740
O9 O 0.000 0.500 0.500
O10 O 0.000 0.500 0.000
O11 O 0.500 0.000 0.500
O12 O 0.500 0.000 0.000
```

Output
Density: 4.350 g/cm3
Uncorrected energy: -119.82 eV for the cell shown

[5]
Entry from the Materials Project: an optimized crystal structure of Ba2Ca2Tl2Cr3O10 (PBE+U).

The structure in CIF format:
```
data_Ba2Ca2Tl2Cr3O10
_cell_length_a 3.924
_cell_length_b 3.937
_cell_length_c 19.155
_cell_angle_alpha 95.89
_cell_angle_beta 95.74
_cell_angle_gamma 90.06
_symmetry_space_group_name_H-M 'P 1'
_symmetry_Int_Tables_number 1
_symmetry_space_group_name_Hall 'P 1'
loop_
_atom_site_label
_atom_site_type_symbol
_atom_site_fract_x
_atom_site_fract_y
_atom_site_fract_z
Ba1 Ba 0.123 0.094 0.290
Ba2 Ba 0.878 0.788 0.709
Ca1 Ca 0.968 0.881 0.906
Ca2 Ca 0.028 0.988 0.093
Tl1 Tl 0.719 0.652 0.440
Tl2 Tl 0.287 0.209 0.560
Cr1 Cr 0.429 0.337 0.814
Cr2 Cr 0.570 0.538 0.185
Cr3 Cr 0.492 0.430 0.000
O1 O 0.938 0.344 0.832
O2 O 0.382 0.287 0.713
O3 O 0.438 0.847 0.835
O4 O 0.789 0.832 0.567
O5 O 0.492 0.932 0.006
O6 O 0.561 0.030 0.168
O7 O 0.618 0.591 0.286
O8 O 0.058 0.525 0.162
O9 O 0.216 0.271 0.432
O10 O 0.988 0.425 0.993
```

Output
Density: 6.121 g/cm3
Uncorrected energy: -121.29 eV for the cell shown

[6]
Entry from the Materials Project: an optimized crystal structure of Ba2Ca3Tl2Cr4O12 (PBE+U).

The structure in CIF format:
```
data_Ba2Ca3Tl2Cr4O12
_cell_length_a 3.957
_cell_length_b 3.957
_cell_length_c 22.381
_cell_angle_alpha 95.07
_cell_angle_beta 95.07
_cell_angle_gamma 90.00
_symmetry_space_group_name_H-M 'P 1'
_symmetry_Int_Tables_number 1
_symmetry_space_group_name_Hall 'P 1'
loop_
_atom_site_label
_atom_site_type_symbol
_atom_site_fract_x
_atom_site_fract_y
_atom_site_fract_z
Ba1 Ba 0.161 0.161 0.322
Ba2 Ba 0.839 0.839 0.678
Ca1 Ca 0.077 0.077 0.154
Ca2 Ca 0.923 0.923 0.846
Ca3 Ca 0.000 0.000 0.000
Tl1 Tl 0.724 0.724 0.448
Tl2 Tl 0.276 0.276 0.552
Cr1 Cr 0.538 0.538 0.076
Cr2 Cr 0.385 0.385 0.769
Cr3 Cr 0.615 0.615 0.231
Cr4 Cr 0.462 0.462 0.924
O1 O 0.393 0.893 0.786
O2 O 0.535 0.035 0.071
O3 O 0.222 0.222 0.443
O4 O 0.965 0.465 0.929
O5 O 0.778 0.778 0.557
O6 O 0.107 0.607 0.214
O7 O 0.607 0.107 0.214
O8 O 0.341 0.341 0.683
O9 O 0.893 0.393 0.786
O10 O 0.035 0.535 0.071
O11 O 0.465 0.965 0.929
O12 O 0.659 0.659 0.317
```

Output
Density: 5.748 g/cm3
Uncorrected energy: -149.64 eV for the cell shown

[7]
Entry from the Materials Project: an optimized crystal structure of Ba2CaCuMo2F14 (PBE+U).

The structure in CIF format:
```
data_Ba2CaCuMo2F14
_cell_length_a 5.540
_cell_length_b 7.702
_cell_length_c 15.490
_cell_angle_alpha 90.48
_cell_angle_beta 90.05
_cell_angle_gamma 111.05
_symmetry_space_group_name_H-M 'P 1'
_symmetry_Int_Tables_number 1
_symmetry_space_group_name_Hall 'P 1'
loop_
_atom_site_label
_atom_site_type_symbol
_atom_site_fract_x
_atom_site_fract_y
_atom_site_fract_z
Ba1 Ba 0.103 0.370 0.624
Ba2 Ba 0.268 0.370 0.124
Ba3 Ba 0.901 0.633 0.376
Ba4 Ba 0.735 0.631 0.877
Ca1 Ca 0.425 0.001 0.750
Ca2 Ca 0.578 0.001 0.250
Cu1 Cu 0.501 0.000 0.000
Cu2 Cu 0.502 0.001 0.500
Mo1 Mo 0.092 0.243 0.877
Mo2 Mo 0.910 0.759 0.124
Mo3 Mo 0.154 0.244 0.376
Mo4 Mo 0.849 0.758 0.624
F1 F 0.902 0.976 0.341
F2 F 0.882 0.292 0.458
F3 F 0.125 0.712 0.543
F4 F 0.627 0.483 0.597
F5 F 0.620 0.088 0.615
F6 F 0.535 0.914 0.886
F7 F 0.413 0.290 0.958
F8 F 0.927 0.027 0.159
F9 F 0.361 0.331 0.776
F10 F 0.377 0.519 0.401
F11 F 0.812 0.239 0.784
F12 F 0.144 0.518 0.903
F13 F 0.426 0.238 0.282
F14 F 0.190 0.763 0.217
F15 F 0.467 0.086 0.114
F16 F 0.641 0.672 0.225
F17 F 0.131 0.836 0.011
F18 F 0.100 0.027 0.659
F19 F 0.871 0.165 0.990
F20 F 0.708 0.837 0.511
F21 F 0.589 0.712 0.042
F22 F 0.573 0.762 0.717
F23 F 0.970 0.332 0.275
F24 F 0.298 0.166 0.489
F25 F 0.383 0.915 0.385
F26 F 0.076 0.975 0.842
F27 F 0.030 0.670 0.725
F28 F 0.857 0.483 0.098
```

Output
Density: 4.502 g/cm3
Uncorrected energy: -221.97 eV for the cell shown

[8]
Entry from the Materials Project: an optimized crystal structure of Ba4CaV4Cu2F28 (PBE+U).

The structure in CIF format:
```
data_Ba4CaV4Cu2F28
_cell_length_a 7.621
_cell_length_b 7.621
_cell_length_c 15.184
_cell_angle_alpha 88.70
_cell_angle_beta 88.70
_cell_angle_gamma 41.84
_symmetry_space_group_name_H-M 'P 1'
_symmetry_Int_Tables_number 1
_symmetry_space_group_name_Hall 'P 1'
loop_
_atom_site_label
_atom_site_type_symbol
_atom_site_fract_x
_atom_site_fract_y
_atom_site_fract_z
Ba1 Ba 0.096 0.264 0.623
Ba2 Ba 0.265 0.107 0.125
Ba3 Ba 0.736 0.904 0.377
Ba4 Ba 0.893 0.735 0.875
Ca1 Ca 0.579 0.421 0.000
V1 V 0.147 0.100 0.875
V2 V 0.900 0.853 0.125
V3 V 0.103 0.144 0.378
V4 V 0.856 0.897 0.622
Cu1 Cu 0.503 0.502 0.750
Cu2 Cu 0.498 0.497 0.250
F1 F 0.398 0.898 0.297
F2 F 0.179 0.590 0.038
F3 F 0.589 0.161 0.544
F4 F 0.126 0.710 0.234
F5 F 0.641 0.040 0.026
F6 F 0.927 0.087 0.096
F7 F 0.491 0.615 0.137
F8 F 0.509 0.377 0.358
F9 F 0.064 0.932 0.602
F10 F 0.290 0.874 0.766
F11 F 0.623 0.491 0.642
F12 F 0.068 0.936 0.398
F13 F 0.352 0.991 0.469
F14 F 0.859 0.638 0.148
F15 F 0.913 0.073 0.904
F16 F 0.362 0.141 0.852
F17 F 0.137 0.358 0.349
F18 F 0.410 0.821 0.962
F19 F 0.594 0.114 0.204
F20 F 0.839 0.411 0.456
F21 F 0.102 0.602 0.703
F22 F 0.385 0.509 0.863
F23 F 0.702 0.126 0.728
F24 F 0.642 0.863 0.651
F25 F 0.009 0.648 0.531
F26 F 0.960 0.359 0.974
F27 F 0.886 0.406 0.796
F28 F 0.874 0.298 0.272
```

Output
Density: 4.100 g/cm3
Uncorrected energy: -218.84 eV for the cell shown